This record from Materials Project describes LiSn4P3O12 after structural relaxation. The functional is PBE.

Computed properties:
The space group is P-1, No. 2. The value obtained for the energy of formation is -2.28 eV per atom. The calculation puts the total DFT energy (no corrections) at -6.5432 eV per atom. The value obtained for the size of the total moment is 0.003 μB per formula unit. The calculation puts the theoretical density at 4.027 g/cm3. Its energy above the most stable polymorph in this dataset is 50.3 meV per atom.

abc: 8.0052 8.6521 9.8875
angles: 97.57 109.05 96.73
Closest atoms and distances in Å follow each position.
Fractional positions:
Li  0.0668  0.8891  0.7229  3 O 1.90-2.10
P  0.6703  0.3311  0.2318  4 O 1.53-1.61
P  0.3297  0.6689  0.7682  4 O 1.53-1.61
O  0.2923  0.8776  0.5202  1 P 1.56
Sn  0.3228  0.0026  0.1002  2 O 2.20-2.30
O  0.1695  0.0679  0.6666  1 P 1.52
O  0.1598  0.5878  0.6371  1 P 1.55
O  0.1486  0.7607  0.0705  1 P 1.57
O  0.5000  0.3160  0.2786  1 P 1.57
O  0.8514  0.2393  0.9295  1 P 1.57
Sn  0.5629  0.3016  0.5155  3 O 2.10-2.25
Sn  0.6491  0.4437  0.8838  3 O 2.26-2.52
O  0.6894  0.8344  0.5104  1 P 1.58
P  0.3163  0.0506  0.6019  4 O 1.52-1.58
O  0.6883  0.1708  0.1562  1 P 1.53
O  0.0488  0.4436  0.1558  1 P 1.56
O  0.8305  0.9321  0.3334  1 P 1.52
O  0.3539  0.5434  0.8764  1 P 1.61
O  0.0692  0.1463  0.1424  1 P 1.54
Sn  0.9428  0.6231  0.2761  3 O 2.24-2.51
O  0.3117  0.8292  0.8438  1 P 1.53
O  0.9308  0.8537  0.8576  1 P 1.54
O  0.9512  0.5564  0.8442  1 P 1.56
P  0.0376  0.2829  0.0576  4 O 1.54-1.58
P  0.6837  0.9494  0.3981  4 O 1.52-1.58
O  0.3106  0.1656  0.4896  1 P 1.58
O  0.5116  0.0987  0.7200  1 P 1.58
Li  0.9332  0.1109  0.2771  3 O 1.90-2.10
Sn  0.6772  0.9974  0.8998  2 O 2.20-2.30
O  0.1854  0.3205  0.9871  1 P 1.58
O  0.8146  0.6795  0.0129  1 P 1.58
Sn  0.0572  0.3769  0.7239  3 O 2.24-2.51
P  0.9624  0.7171  0.9424  4 O 1.54-1.58
O  0.7077  0.1224  0.4798  1 P 1.56
O  0.4884  0.9013  0.2800  1 P 1.58
Sn  0.3509  0.5563  0.1162  3 O 2.26-2.52
Sn  0.4371  0.6984  0.4845  3 O 2.10-2.25
O  0.5000  0.6840  0.7214  1 P 1.57
O  0.8402  0.4122  0.3629  1 P 1.55
O  0.6461  0.4566  0.1236  1 P 1.61



This record from Materials Project describes LiSnP2O7 after structural relaxation. The functional is PBE.

Computed properties:
The space group is Cc, No. 9. The value obtained for the energy of formation is -2.38 eV per atom. The calculation puts the total DFT energy (no corrections) at -6.6096 eV per atom. The value obtained for the size of the total moment is 0.000 μB per formula unit. The calculation puts the theoretical density at 3.466 g/cm3. Its energy above the most stable polymorph in this dataset is 128.0 meV per atom.

abc: 7.3712 7.3712 12.4945
angles: 89.79 89.79 122.25
Closest atoms and distances in Å follow each position.
Fractional positions:
Li  0.2920  0.7201  0.7463  4 O 1.95-2.05
Sn  0.6260  0.6455  0.3768  3 O 2.05-2.13
O  0.1073  0.6712  0.6245  1 P 1.49
Sn  0.3421  0.3435  0.1217  3 O 2.12-2.35
O  0.1547  0.3918  0.2338  1 P 1.54
O  0.6712  0.1073  0.1245  1 P 1.49
P  0.9033  0.6599  0.6470  4 O 1.49-1.64
O  0.3918  0.1547  0.7338  1 P 1.54
O  0.6051  0.8405  0.2672  1 P 1.56
O  0.8565  0.6538  0.9953  1 P 1.56
O  0.6538  0.8565  0.4953  1 P 1.56
O  0.1416  0.3685  0.0012  1 P 1.56
O  0.8400  0.1714  0.8636  1 P 1.48
P  0.2682  0.0707  0.3879  4 O 1.48-1.65
O  0.0682  0.1102  0.3799  2 P 1.63-1.65
P  0.9220  0.7327  0.1123  4 O 1.50-1.64
O  0.4437  0.2462  0.3088  1 P 1.59
O  0.5633  0.7563  0.6932  1 P 1.56
O  0.9386  0.8962  0.6264  2 P 1.64
O  0.1714  0.8400  0.3636  1 P 1.48
O  0.3685  0.1416  0.5012  1 P 1.56
P  0.7327  0.9220  0.6123  4 O 1.50-1.64
Sn  0.6455  0.6260  0.8768  3 O 2.05-2.13
O  0.1102  0.0682  0.8799  2 P 1.63-1.65
Sn  0.3435  0.3421  0.6217  3 O 2.12-2.35
Li  0.7201  0.2920  0.2463  4 O 1.95-2.05
O  0.8125  0.1545  0.6257  1 P 1.50
O  0.7563  0.5633  0.1932  1 P 1.56
Li  0.2583  0.7172  0.0105  3 O 1.93-2.04
O  0.8405  0.6051  0.7672  1 P 1.56
O  0.5069  0.7074  0.0739  1 P 1.57
O  0.4977  0.2990  0.9241  1 P 1.57
O  0.7074  0.5069  0.5739  1 P 1.57
P  0.6599  0.9033  0.1470  4 O 1.49-1.64
P  0.1005  0.3421  0.3537  4 O 1.50-1.63
O  0.8962  0.9386  0.1264  2 P 1.64
O  0.1545  0.8125  0.1257  1 P 1.50
O  0.8933  0.3253  0.3813  1 P 1.50
O  0.2990  0.4977  0.4241  1 P 1.57
O  0.2462  0.4437  0.8088  1 P 1.59
P  0.0707  0.2682  0.8879  4 O 1.48-1.65
O  0.3253  0.8933  0.8813  1 P 1.50
Li  0.7172  0.2583  0.5105  3 O 1.93-2.04
P  0.3421  0.1005  0.8537  4 O 1.50-1.63



This record from Materials Project describes Li3Sn3P4O16 after structural relaxation. The functional is PBE.

Computed properties:
The space group is P2_1, No. 4. The value obtained for the energy of formation is -2.45 eV per atom. The calculation puts the total DFT energy (no corrections) at -6.5850 eV per atom. The value obtained for the size of the total moment is 0.000 μB per formula unit. The calculation puts the theoretical density at 3.553 g/cm3. Its energy above the most stable polymorph in this dataset is 11.5 meV per atom.

abc: 8.6060 7.7284 10.6470
angles: 87.35 90.00 90.00
Closest atoms and distances in Å follow each position.
Fractional positions:
O  0.6451  0.6914  0.5370  1 P 1.56
Sn  0.0117  0.2541  0.6357  6 O 2.19-2.40
O  0.8432  0.1829  0.8031  1 P 1.57
O  0.3066  0.8359  0.4986  1 P 1.57
P  0.8124  0.0368  0.9082  4 O 1.50-1.58
O  0.1451  0.3086  0.4630  1 P 1.56
O  0.5848  0.3881  0.1431  1 P 1.50
O  0.6282  0.0240  0.3416  1 P 1.56
O  0.3844  0.8310  0.7230  1 P 1.56
O  0.1528  0.3215  0.9655  1 P 1.57
O  0.8185  0.1263  0.0377  1 P 1.57
Li  0.8565  0.6277  0.4244  3 O 1.96-2.09
O  0.4264  0.1098  0.0963  1 P 1.50
Sn  0.0058  0.2544  0.1155  6 O 2.08-2.13
Li  0.3565  0.3723  0.5756  3 O 1.96-2.09
O  0.9264  0.8902  0.9037  1 P 1.50
O  0.2110  0.3782  0.7329  1 P 1.57
O  0.3432  0.8171  0.1969  1 P 1.57
Li  0.8785  0.6480  0.9174  2 O 1.91-1.92
O  0.0715  0.6009  0.3618  1 P 1.55
O  0.1282  0.9760  0.6584  1 P 1.56
O  0.6528  0.6785  0.0345  1 P 1.57
P  0.7997  0.0560  0.3808  4 O 1.54-1.57
O  0.8066  0.1641  0.5014  1 P 1.57
O  0.1796  0.3661  0.2241  1 P 1.58
O  0.8798  0.8800  0.4063  1 P 1.54
Li  0.6263  0.1468  0.1633  3 O 1.89-2.08
Sn  0.1262  0.8834  0.3407  4 O 2.23-2.48
Li  0.3785  0.3520  0.0826  2 O 1.91-1.92
O  0.5715  0.3991  0.6382  1 P 1.55
O  0.6796  0.6339  0.7759  1 P 1.58
O  0.8844  0.1690  0.2770  1 P 1.56
O  0.6386  0.9775  0.8911  1 P 1.58
P  0.1992  0.4652  0.8626  4 O 1.50-1.59
Li  0.1263  0.8532  0.8367  3 O 1.89-2.08
P  0.2997  0.9440  0.6192  4 O 1.54-1.57
O  0.8572  0.4985  0.6155  1 P 1.55
O  0.1386  0.0225  0.1089  1 P 1.58
O  0.8691  0.4811  0.0958  1 P 1.59
Sn  0.5058  0.7456  0.8845  6 O 2.08-2.13
O  0.3185  0.8737  0.9623  1 P 1.57
P  0.6870  0.5529  0.6424  4 O 1.55-1.58
P  0.6992  0.5348  0.1374  4 O 1.50-1.59
P  0.3124  0.9632  0.0918  4 O 1.50-1.58
Sn  0.6262  0.1166  0.6593  4 O 2.23-2.48
Sn  0.5117  0.7459  0.3643  6 O 2.19-2.40
O  0.0848  0.6119  0.8569  1 P 1.50
O  0.3691  0.5189  0.9042  1 P 1.59
P  0.1870  0.4471  0.3576  4 O 1.55-1.58
O  0.7110  0.6218  0.2671  1 P 1.57
O  0.3572  0.5015  0.3845  1 P 1.55
O  0.3797  0.1200  0.5937  1 P 1.54



This record from Materials Project describes LiSn3P6O20 after structural relaxation. The functional is PBE.

Computed properties:
The space group is C222_1, No. 20. The value obtained for the energy of formation is -2.43 eV per atom. The calculation puts the total DFT energy (no corrections) at -6.8223 eV per atom. The value obtained for the size of the total moment is 0.999 μB per formula unit. The calculation puts the theoretical density at 3.112 g/cm3.

abc: 8.7678 8.7678 12.5179
angles: 90.00 90.00 105.54
Closest atoms and distances in Å follow each position.
Fractional positions:
O  0.2111  0.5369  0.3048  1 P 1.51
P  0.6828  0.7807  0.7226  4 O 1.53-1.65
O  0.8916  0.1762  0.0299  1 P 1.51
O  0.7369  0.9553  0.6904  1 P 1.53
P  0.1451  0.7146  0.9836  4 O 1.51-1.65
Li  0.4173  0.4173  0.0000  2 O 1.88
O  0.5307  0.7342  0.7903  1 P 1.54
P  0.6220  0.9073  0.1820  4 O 1.51-1.60
O  0.2430  0.1834  0.6913  2 P 1.60-1.65
P  0.2193  0.3172  0.7774  4 O 1.53-1.65
O  0.1084  0.8238  0.5299  1 P 1.51
O  0.7449  0.3538  0.4105  1 P 1.56
O  0.0495  0.6659  0.7429  1 P 1.53
P  0.0927  0.3780  0.3180  4 O 1.51-1.60
O  0.2551  0.6462  0.9105  1 P 1.56
Sn  0.1264  0.1264  0.0000  2 O 2.25
P  0.7146  0.1451  0.0164  4 O 1.51-1.65
Sn  0.2971  0.7029  0.7500  6 O 2.06-2.11
O  0.6659  0.0495  0.2571  1 P 1.53
Sn  0.7764  0.2236  0.7500  6 O 2.18-2.40
O  0.2631  0.0447  0.1904  1 P 1.53
O  0.7570  0.8166  0.1913  2 P 1.60-1.65
O  0.3538  0.7449  0.5895  1 P 1.56
O  0.6513  0.1435  0.9036  1 P 1.52
O  0.3163  0.3263  0.1265  1 P 1.53
O  0.8565  0.3487  0.5964  1 P 1.52
P  0.3780  0.0927  0.6820  4 O 1.51-1.60
Sn  0.8736  0.8736  0.5000  2 O 2.25
O  0.9641  0.6358  0.9393  2 P 1.59-1.65
O  0.3341  0.9505  0.7571  1 P 1.53
Li  0.5827  0.5827  0.5000  2 O 1.88
O  0.9505  0.3341  0.2429  1 P 1.53
O  0.1762  0.8916  0.9701  1 P 1.51
O  0.6462  0.2551  0.0895  1 P 1.56
O  0.6737  0.6837  0.3735  1 P 1.53
O  0.8238  0.1084  0.4701  1 P 1.51
O  0.6358  0.9641  0.0607  2 P 1.59-1.65
O  0.1834  0.2430  0.3087  2 P 1.60-1.65
O  0.0447  0.2631  0.8096  1 P 1.53
P  0.2854  0.8549  0.5164  4 O 1.51-1.65
O  0.3642  0.0359  0.5607  2 P 1.59-1.65
O  0.4693  0.2658  0.2903  1 P 1.54
O  0.9553  0.7369  0.3096  1 P 1.53
P  0.3172  0.2193  0.2226  4 O 1.53-1.65
O  0.7889  0.4631  0.8048  1 P 1.51
Sn  0.2236  0.7764  0.2500  6 O 2.18-2.40
O  0.0359  0.3642  0.4393  2 P 1.59-1.65
O  0.6837  0.6737  0.6265  1 P 1.53
O  0.1435  0.6513  0.0964  1 P 1.52
O  0.3263  0.3163  0.8735  1 P 1.53
O  0.2658  0.4693  0.7097  1 P 1.54
O  0.5369  0.2111  0.6952  1 P 1.51
O  0.8166  0.7570  0.8087  2 P 1.60-1.65
O  0.4631  0.7889  0.1952  1 P 1.51
O  0.7342  0.5307  0.2097  1 P 1.54
P  0.9073  0.6220  0.8180  4 O 1.51-1.60
Sn  0.7029  0.2971  0.2500  6 O 2.06-2.11
P  0.7807  0.6828  0.2774  4 O 1.53-1.65
P  0.8549  0.2854  0.4836  4 O 1.51-1.65
O  0.3487  0.8565  0.4036  1 P 1.52



> Which value of size of the total moment does entry 2 give?

0.000 μB per formula unit



> What is the total DFT energy (no corrections) in the second record?

-6.6096 eV per atom